1.
The following is a DFT calculation (PBE with a Hubbard U) of an optimized crystal structure of BeCo2O4.

Structure (CIF):
```
data_BeCo2O4
_symmetry_space_group_name_H-M 'P n m a'
_symmetry_Int_Tables_number 62
_cell_length_a 8.998
_cell_length_b 2.893
_cell_length_c 9.304
_cell_angle_alpha 90.00
_cell_angle_beta 90.00
_cell_angle_gamma 90.00
loop_
_symmetry_equiv_pos_as_xyz
'x,y,z'
'-x,-y,-z'
'-x+1/2,-y,z+1/2'
'x+1/2,y,-z+1/2'
'x+1/2,-y+1/2,-z+1/2'
'-x+1/2,y+1/2,z+1/2'
'-x,y+1/2,-z'
'x,-y+1/2,z'
loop_
_atom_site_label
_atom_site_fract_x
_atom_site_fract_y
_atom_site_fract_z
Be1 0.146 0.250 0.111
Co1 0.119 0.250 0.430
Co2 0.129 0.250 0.799
O1 0.017 0.250 0.615
O2 0.021 0.750 0.875
O3 0.234 0.250 0.252
O4 0.245 0.250 0.973
```

## Properties
* crystal system: orthorhombic
* formation enthalpy at 0 K: -1.714 eV/atom


2.
The following is a DFT calculation (PBE with a Hubbard U) of an optimized crystal structure of Sr2ZnWO6.

Structure (CIF):
```
data_Sr2ZnWO6
_symmetry_space_group_name_H-M 'P 1 21/c 1'
_symmetry_Int_Tables_number 14
_cell_length_a 5.737
_cell_length_b 5.675
_cell_length_c 9.872
_cell_angle_alpha 90.00
_cell_angle_beta 125.43
_cell_angle_gamma 90.00
loop_
_symmetry_equiv_pos_as_xyz
'x,y,z'
'-x,-y,-z'
'-x,y+1/2,-z+1/2'
'x,-y+1/2,z+1/2'
loop_
_atom_site_label
_atom_site_fract_x
_atom_site_fract_y
_atom_site_fract_z
Sr1 0.247 0.013 0.250
Zn1 0.500 0.000 0.000
W1 0.000 0.000 0.500
O1 0.190 0.240 0.970
O2 0.228 0.721 0.970
O3 0.296 0.005 0.739
```

## Properties
* crystal system: monoclinic
* formation enthalpy at 0 K: -2.683 eV/atom


3.
The following is a DFT calculation (PBE with a Hubbard U) of an optimized crystal structure of TiVP3O12.

Structure (CIF):
```
data_TiVP3O12
_symmetry_space_group_name_H-M 'R 3 c'
_symmetry_Int_Tables_number 161
_symmetry_space_group_name_Hall 'R 3 -2"c'
_cell_length_a 8.5902
_cell_length_b 8.5902
_cell_length_c 21.6043
_cell_angle_alpha 90.00
_cell_angle_beta 90.00
_cell_angle_gamma 120.00
loop_
_atom_site_label
_atom_site_fract_x
_atom_site_fract_y
_atom_site_fract_z
Ti1 0.0000 0.0000 0.0000
V1 0.0000 0.0000 0.2228
P1 0.0548 0.3835 0.2784
O1 0.0141 0.1894 0.5537
O2 0.0349 0.1927 0.2717
O3 0.1577 0.4676 0.6182
O4 0.1696 0.4709 0.3370
```

## Properties
* crystal system: trigonal
* formation enthalpy at 0 K: -2.758 eV/atom


4.
The following is a DFT calculation (PBE with a Hubbard U) of an optimized crystal structure of MgRe2W2O12.

Structure (CIF):
```
data_MgRe2W2O12
_symmetry_space_group_name_H-M 'P 1'
_symmetry_Int_Tables_number 1
_cell_length_a 5.282
_cell_length_b 5.349
_cell_length_c 7.625
_cell_angle_alpha 90.00
_cell_angle_beta 89.88
_cell_angle_gamma 89.99
loop_
_symmetry_equiv_pos_as_xyz
'x,y,z'
loop_
_atom_site_label
_atom_site_fract_x
_atom_site_fract_y
_atom_site_fract_z
Mg1 0.000 0.000 0.000
Re1 0.005 0.465 0.252
Re2 0.512 0.966 0.747
W1 0.011 0.468 0.744
W2 0.507 0.963 0.256
O1 0.067 0.496 0.496
O2 0.191 0.778 0.192
O3 0.196 0.782 0.807
O4 0.298 0.258 0.226
O5 0.308 0.258 0.772
O6 0.448 0.957 0.503
O7 0.607 0.966 0.000
O8 0.711 0.667 0.273
O9 0.711 0.673 0.727
O10 0.804 0.172 0.285
O11 0.806 0.170 0.714
O12 0.956 0.412 0.999
```

## Properties
* crystal system: triclinic
* formation enthalpy at 0 K: -2.160 eV/atom


What is the formula in the second record?
Sr2ZnWO6